Here is a relaxed Cs2BaTa6Br15O3 crystal from the Materials Project. Energies are from PBE-GGA.

DFT total energy ... -0.420 Ry per atom
Crystal system ... monoclinic
Energy relative to the elements ... -1.56 eV/atom
Theoretical density ... 5634 kg/m3

Unit cell a=9.983 b=9.983 c=18.747 alpha=90.26 beta=90.26 gamma=120.34
Element x y z (fractional)
Cs 0.165 0.833 0.540
Cs 0.167 0.835 0.960
Cs 0.833 0.165 0.040
Cs 0.835 0.167 0.460
Ba 0.167 0.833 0.250
Ba 0.833 0.167 0.750
Ta 0.314 0.484 0.816
Ta 0.324 0.335 0.688
Ta 0.333 0.517 0.313
Ta 0.335 0.324 0.188
Ta 0.483 0.667 0.187
Ta 0.484 0.314 0.316
Ta 0.516 0.686 0.684
Ta 0.517 0.333 0.813
Ta 0.665 0.676 0.812
Ta 0.667 0.483 0.687
Ta 0.676 0.665 0.312
Ta 0.686 0.516 0.184
Br 0.056 0.441 0.886
Br 0.059 0.115 0.615
Br 0.086 0.291 0.250
Br 0.115 0.059 0.115
Br 0.115 0.559 0.385
Br 0.282 0.483 0.091
Br 0.284 0.298 0.409
Br 0.291 0.086 0.750
Br 0.293 0.707 0.750
Br 0.297 0.513 0.591
Br 0.298 0.284 0.909
Br 0.441 0.056 0.386
Br 0.441 0.885 0.115
Br 0.483 0.282 0.591
Br 0.487 0.703 0.909
Br 0.513 0.297 0.091
Br 0.517 0.718 0.409
Br 0.559 0.115 0.885
Br 0.559 0.944 0.614
Br 0.702 0.716 0.091
Br 0.703 0.487 0.409
Br 0.707 0.293 0.250
Br 0.709 0.914 0.250
Br 0.716 0.702 0.591
Br 0.718 0.517 0.909
Br 0.885 0.441 0.615
Br 0.885 0.941 0.885
Br 0.914 0.709 0.750
Br 0.941 0.885 0.385
Br 0.944 0.559 0.114
O 0.161 0.332 0.750
O 0.329 0.671 0.250
O 0.332 0.161 0.250
O 0.668 0.839 0.750
O 0.671 0.329 0.750
O 0.839 0.668 0.250